Entry 1:
{"formula": "CoSiO3", "functional": "PBE with a Hubbard U", "state": "relaxed", "lattice_angstrom": [[5.265, 0.000, 0.000], [0.000, 9.044, 0.000], [0.000, 0.000, 18.464]], "species": ["Co", "Co", "Co", "Co", "Co", "Co", "Co", "Co", "Co", "Co", "Co", "Co", "Co", "Co", "Co", "Co", "Si", "Si", "Si", "Si", "Si", "Si", "Si", "Si", "Si", "Si", "Si", "Si", "Si", "Si", "Si", "Si", "O", "O", "O", "O", "O", "O", "O", "O", "O", "O", "O", "O", "O", "O", "O", "O", "O", "O", "O", "O", "O", "O", "O", "O", "O", "O", "O", "O", "O", "O", "O", "O", "O", "O", "O", "O", "O", "O", "O", "O", "O", "O", "O", "O", "O", "O", "O", "O"], "fractional_positions": [[0.625, 0.153, 0.376], [0.864, 0.009, 0.623], [0.636, 0.009, 0.123], [0.136, 0.491, 0.123], [0.136, 0.991, 0.377], [0.375, 0.347, 0.876], [0.375, 0.847, 0.624], [0.364, 0.991, 0.877], [0.864, 0.509, 0.877], [0.625, 0.653, 0.124], [0.875, 0.653, 0.624], [0.636, 0.509, 0.377], [0.875, 0.153, 0.876], [0.125, 0.347, 0.376], [0.364, 0.491, 0.623], [0.125, 0.847, 0.124], [0.554, 0.160, 0.728], [0.291, 0.665, 0.973], [0.709, 0.335, 0.027], [0.054, 0.840, 0.772], [0.791, 0.335, 0.527], [0.554, 0.660, 0.772], [0.946, 0.160, 0.228], [0.209, 0.165, 0.027], [0.446, 0.340, 0.228], [0.054, 0.340, 0.728], [0.791, 0.835, 0.973], [0.709, 0.835, 0.473], [0.291, 0.165, 0.527], [0.946, 0.660, 0.272], [0.446, 0.840, 0.272], [0.209, 0.665, 0.473], [0.789, 0.839, 0.062], [0.042, 0.839, 0.683], [0.909, 0.199, 0.053], [0.042, 0.339, 0.817], [0.542, 0.161, 0.817], [0.711, 0.839, 0.562], [0.827, 0.731, 0.803], [0.091, 0.801, 0.947], [0.458, 0.339, 0.317], [0.591, 0.199, 0.553], [0.941, 0.499, 0.310], [0.691, 0.482, 0.568], [0.409, 0.801, 0.447], [0.289, 0.661, 0.062], [0.673, 0.231, 0.197], [0.173, 0.269, 0.197], [0.441, 0.001, 0.310], [0.309, 0.518, 0.432], [0.559, 0.499, 0.810], [0.673, 0.731, 0.303], [0.809, 0.482, 0.068], [0.941, 0.999, 0.190], [0.591, 0.699, 0.947], [0.909, 0.699, 0.447], [0.958, 0.661, 0.183], [0.711, 0.339, 0.938], [0.809, 0.982, 0.432], [0.059, 0.501, 0.690], [0.559, 0.999, 0.690], [0.173, 0.769, 0.303], [0.211, 0.161, 0.938], [0.542, 0.661, 0.683], [0.441, 0.501, 0.190], [0.409, 0.301, 0.053], [0.289, 0.161, 0.438], [0.827, 0.231, 0.697], [0.191, 0.018, 0.568], [0.059, 0.001, 0.810], [0.458, 0.839, 0.183], [0.327, 0.769, 0.803], [0.789, 0.339, 0.438], [0.327, 0.269, 0.697], [0.691, 0.982, 0.932], [0.191, 0.518, 0.932], [0.958, 0.161, 0.317], [0.091, 0.301, 0.553], [0.211, 0.661, 0.562], [0.309, 0.018, 0.068]], "e_form_ev_per_atom": -2.456, "m_tot_mub_per_fu": 3.00}

***

Entry 2:
{"formula": "MgMn9CdO10", "functional": "PBE with a Hubbard U", "state": "relaxed", "lattice_angstrom": [[1.237, -2.939, 4.855], [-5.320, 6.162, 3.763], [-5.641, -0.873, -1.794]], "species": ["Mg", "Mn", "Mn", "Mn", "Mn", "Mn", "Mn", "Mn", "Mn", "Mn", "Cd", "O", "O", "O", "O", "O", "O", "O", "O", "O", "O"], "fractional_positions": [[0.121, 0.799, 0.988], [0.500, 0.388, 0.319], [0.978, 0.075, 0.996], [0.523, 0.001, 0.447], [0.976, 0.524, 0.270], [0.028, 0.179, 0.469], [0.501, 0.212, 0.907], [0.522, 0.599, 0.649], [0.028, 0.420, 0.849], [0.934, 0.800, 0.452], [0.587, 0.802, 0.990], [0.776, 0.051, 0.241], [0.709, 0.414, 0.025], [0.711, 0.186, 0.640], [0.775, 0.549, 0.492], [0.246, 0.214, 0.184], [0.245, 0.800, 0.368], [0.779, 0.800, 0.704], [0.218, 0.022, 0.832], [0.244, 0.385, 0.598], [0.216, 0.576, 0.055]], "e_form_ev_per_atom": -1.701, "m_tot_mub_per_fu": 45.00, "relative_energy_ev_per_atom": 0.104}